# 1
Compound: EuGa8Ir2
Source: Materials Project
Functional: PBE-GGA
Structure: optimized geometry

Cell lengths 12.730, 14.692, 4.175 Å; angles 90.00, 90.00, 90.00 degrees
Element x y z (fractional)
Ga (0.601, 0.749, 0.500)
Ga (0.668, 0.624, 0.000)
Eu (0.343, 0.820, 0.500)
Ir (0.964, 0.097, 0.500)
Ga (0.899, 0.249, 0.500)
Ga (0.670, 0.013, 0.000)
Ga (0.449, 0.685, 0.000)
Ir (0.536, 0.597, 0.500)
Ga (0.841, 0.956, 0.500)
Ga (0.399, 0.251, 0.500)
Ir (0.844, 0.405, 0.500)
Ga (0.330, 0.987, 0.000)
Ga (0.500, 0.500, 0.000)
Ga (0.000, 0.500, 0.500)
Ga (0.051, 0.185, 0.000)
Ga (0.332, 0.376, 0.000)
Ga (0.480, 0.133, 0.000)
Eu (0.843, 0.680, 0.500)
Ir (0.656, 0.905, 0.500)
Ga (0.020, 0.633, 0.000)
Ga (0.980, 0.367, 0.000)
Ir (0.036, 0.903, 0.500)
Ga (0.159, 0.044, 0.500)
Ga (0.500, 0.000, 0.500)
Ga (0.341, 0.544, 0.500)
Ir (0.464, 0.403, 0.500)
Eu (0.157, 0.320, 0.500)
Ga (0.101, 0.751, 0.500)
Ga (0.832, 0.124, 0.000)
Ga (0.168, 0.876, 0.000)
Ga (0.242, 0.677, 0.000)
Ga (0.758, 0.323, 0.000)
Ga (0.258, 0.177, 0.000)
Ga (0.520, 0.867, 0.000)
Ir (0.344, 0.095, 0.500)
Ga (0.170, 0.487, 0.000)
Ga (0.551, 0.315, 0.000)
Ga (0.830, 0.513, 0.000)
Eu (0.657, 0.180, 0.500)
Ga (0.949, 0.815, 0.000)
Ga (0.000, 0.000, 0.000)
Ga (0.659, 0.456, 0.500)
Ir (0.156, 0.595, 0.500)
Ga (0.742, 0.823, 0.000)

Summary:
Its crystal system is orthorhombic. For the energy relative to the elements, the calculation gives -0.476 eV per atom.

***

# 2
Compound: ErSi2Pd2
Source: Materials Project
Functional: PBE-GGA
Structure: optimized geometry

Cell lengths 5.782, 5.782, 5.782 Å; angles 138.12, 138.12, 60.72 degrees
Element x y z (fractional)
Pd (0.750, 0.250, 0.500)
Pd (0.250, 0.750, 0.500)
Si (0.616, 0.616, 0.000)
Si (0.384, 0.384, 0.000)
Er (0.000, 0.000, 0.000)

Summary:
Its crystal system is tetragonal. For the energy relative to the elements, the calculation gives -0.931 eV per atom.

***

# 3
Compound: KZnBr3O2
Source: Materials Project
Functional: PBE-GGA
Structure: optimized geometry

Cell lengths 7.348, 8.960, 13.544 Å; angles 90.00, 90.00, 90.00 degrees
Element x y z (fractional)
O (0.259, 0.019, 0.624)
Br (0.165, 0.701, 0.919)
Br (0.646, 0.841, 0.736)
O (0.241, 0.981, 0.124)
O (0.323, 0.020, 0.199)
K (0.897, 0.468, 0.092)
O (0.677, 0.520, 0.301)
Br (0.097, 0.644, 0.562)
Br (0.835, 0.201, 0.581)
O (0.177, 0.980, 0.699)
Br (0.146, 0.659, 0.264)
K (0.603, 0.532, 0.592)
Zn (0.327, 0.475, 0.912)
Br (0.597, 0.856, 0.438)
O (0.741, 0.519, 0.876)
Br (0.335, 0.299, 0.419)
Br (0.403, 0.356, 0.062)
Br (0.665, 0.799, 0.081)
K (0.103, 0.968, 0.408)
Zn (0.673, 0.975, 0.588)
Zn (0.827, 0.025, 0.088)
O (0.759, 0.481, 0.376)
Br (0.854, 0.159, 0.236)
Zn (0.173, 0.525, 0.412)
O (0.823, 0.480, 0.801)
Br (0.354, 0.341, 0.764)
Br (0.903, 0.144, 0.938)
K (0.397, 0.032, 0.908)

Summary:
Its crystal system is orthorhombic. The calculation puts the corrected total energy (MP2020 scheme) at -3.351 eV per atom. For the excess energy over the best structure of this formula in the dataset, the calculation gives 80 meV per atom. For the energy relative to the elements, the calculation gives -0.897 eV per atom.

***

# 4
Compound: CaNdTi4O12
Source: Materials Project
Functional: PBE-GGA
Structure: optimized geometry

Cell lengths 5.461, 5.461, 7.762 Å; angles 90.00, 90.00, 90.41 degrees
Element x y z (fractional)
O (0.723, 0.725, 0.757)
O (0.723, 0.725, 0.243)
O (0.227, 0.773, 0.765)
O (0.275, 0.277, 0.243)
O (0.014, 0.537, 0.500)
Ti (0.507, 0.007, 0.754)
Nd (0.022, 0.978, 0.500)
O (0.526, 0.038, 0.000)
O (0.962, 0.474, 0.000)
O (0.227, 0.773, 0.235)
Ti (0.993, 0.493, 0.246)
O (0.787, 0.213, 0.290)
Ti (0.993, 0.493, 0.754)
O (0.463, 0.986, 0.500)
Ca (0.483, 0.517, 0.000)
O (0.275, 0.277, 0.757)
O (0.787, 0.213, 0.710)
Ti (0.507, 0.007, 0.246)

Summary:
Its crystal system is orthorhombic. The calculation puts the corrected total energy (MP2020 scheme) at -8.571 eV per atom. For the energy relative to the elements, the calculation gives -3.141 eV per atom.